1.
! PBE-GGA LiUF5, optimized geometry; values from VASP
&SYSTEM
  ibrav = 0, nat = 56, ntyp = 3
/
ATOMIC_SPECIES
F 19.00 F.upf
Li 6.94 Li.upf
U 238.03 U.upf
CELL_PARAMETERS angstrom
8.304 3.226 -6.617
-3.633 -7.916 6.877
-6.895 -2.646 -8.284
ATOMIC_POSITIONS crystal
F 0.307 0.630 0.541
Li 0.964 0.311 0.486
F 0.598 0.730 0.035
F 0.016 0.057 0.176
F 0.652 0.020 0.465
F 0.703 0.039 0.734
Li 0.522 0.036 0.347
F 0.089 0.766 0.459
U 0.308 0.065 0.632
F 0.169 0.453 0.866
U 0.927 0.058 0.744
U 0.817 0.073 0.132
F 0.289 0.056 0.837
F 0.971 0.608 0.049
F 0.270 0.305 0.868
F 0.279 0.142 0.451
F 0.078 0.029 0.637
U 0.935 0.567 0.244
F 0.858 0.309 0.137
U 0.942 0.685 0.868
F 0.961 0.694 0.663
Li 0.425 0.272 0.986
F 0.703 0.337 0.784
Li 0.728 0.714 0.153
F 0.980 0.445 0.632
F 0.161 0.984 0.041
F 0.663 0.447 0.366
F 0.555 0.187 0.535
F 0.691 0.828 0.549
F 0.697 0.831 0.284
F 0.587 0.303 0.134
F 0.813 0.348 0.368
F 0.306 0.969 0.266
Li 0.825 0.478 0.514
U 0.323 0.692 0.756
F 0.943 0.120 0.959
U 0.315 0.183 0.256
F 0.547 0.711 0.766
Li 0.561 0.575 0.847
F 0.219 0.453 0.163
F 0.547 0.413 0.716
F 0.031 0.297 0.337
F 0.081 0.297 0.634
F 0.172 0.721 0.863
F 0.370 0.911 0.676
U 0.433 0.677 0.368
Li 0.689 0.175 0.653
F 0.559 0.922 0.951
F 0.392 0.441 0.363
F 0.234 0.693 0.324
F 0.553 0.919 0.216
F 0.944 0.781 0.234
Li 0.286 0.439 0.014
F 0.695 0.563 0.965
F 0.437 0.402 0.132
F 0.880 0.839 0.824
! Corrected total energy (MP2020 scheme)   -392.1 eV/cell
! Formation energy   -3749 meV/atom
! Total DFT energy (no corrections)   -6.6722 eV/atom

---

2.
! PBE-GGA Li3Zr4F19, optimized geometry; values from VASP
&SYSTEM
  ibrav = 0, nat = 52, ntyp = 3
/
ATOMIC_SPECIES
F 19.00 F.upf
Zr 91.22 Zr.upf
Li 6.94 Li.upf
CELL_PARAMETERS angstrom
5.532 0.000 0.000
-2.503 10.738 0.000
-0.534 -4.185 12.258
ATOMIC_POSITIONS crystal
F 0.852 0.541 0.703
F 0.124 0.148 0.875
F 0.660 0.002 0.074
Zr 0.665 0.123 0.631
F 0.626 0.930 0.505
Zr 0.062 0.338 0.947
F 0.873 0.480 0.917
F 0.701 0.677 0.937
F 0.665 0.592 0.132
F 0.965 0.783 0.644
F 0.127 0.520 0.083
Zr 0.100 0.948 0.791
F 0.871 0.571 0.487
F 0.299 0.323 0.063
Zr 0.900 0.052 0.209
F 0.374 0.070 0.495
F 0.612 0.981 0.297
F 0.585 0.301 0.440
Li 0.525 0.836 0.941
Li 0.590 0.490 0.793
F 0.148 0.459 0.297
Zr 0.335 0.877 0.369
F 0.335 0.408 0.868
F 0.493 0.724 0.347
Li 0.410 0.510 0.207
F 0.415 0.699 0.560
Zr 0.863 0.383 0.366
F 0.881 0.013 0.690
F 0.638 0.451 0.288
F 0.035 0.217 0.356
F 0.955 0.191 0.562
F 0.362 0.549 0.712
F 0.340 0.998 0.926
F 0.244 0.746 0.998
Zr 0.938 0.662 0.053
F 0.756 0.254 0.002
F 0.388 0.019 0.703
F 0.799 0.889 0.856
Li 0.717 0.740 0.488
F 0.734 0.216 0.218
F 0.876 0.852 0.125
F 0.170 0.753 0.214
Zr 0.137 0.617 0.634
F 0.266 0.784 0.782
F 0.830 0.247 0.786
F 0.129 0.429 0.513
Li 0.283 0.260 0.512
F 0.119 0.987 0.310
F 0.045 0.809 0.438
Li 0.475 0.164 0.059
F 0.507 0.276 0.653
F 0.201 0.111 0.144
! Corrected total energy (MP2020 scheme)   -352.3 eV/cell
! Formation energy   -3840 meV/atom
! Total DFT energy (no corrections)   -6.4364 eV/atom

---

3.
! PBE-GGA Rb2LuSi4O10F, optimized geometry; values from VASP
&SYSTEM
  ibrav = 0, nat = 72, ntyp = 5
/
ATOMIC_SPECIES
Lu 174.97 Lu.upf
O 16.00 O.upf
Si 28.09 Si.upf
Rb 85.47 Rb.upf
F 19.00 F.upf
CELL_PARAMETERS angstrom
-4.971 6.807 -1.881
-6.892 -2.477 9.253
3.767 5.491 9.918
ATOMIC_POSITIONS crystal
Lu 0.504 0.293 0.291
O 0.031 0.342 0.657
O 0.038 0.320 0.100
O 0.022 0.746 0.517
Si 0.937 0.613 0.230
Rb 0.750 0.000 0.529
F 0.250 0.270 0.321
O 0.506 0.726 0.105
O 0.250 0.402 0.779
O 0.469 0.342 0.657
F 0.250 0.682 0.746
Lu 0.996 0.293 0.291
O 0.969 0.658 0.343
Si 0.931 0.019 0.244
O 0.539 0.105 0.718
O 0.961 0.105 0.718
O 0.750 0.973 0.251
O 0.027 0.488 0.248
O 0.962 0.680 0.900
O 0.750 0.598 0.221
O 0.750 0.274 0.633
O 0.478 0.746 0.517
O 0.978 0.254 0.483
Si 0.433 0.757 0.384
O 0.494 0.274 0.895
O 0.028 0.906 0.900
O 0.472 0.906 0.900
O 0.032 0.902 0.675
F 0.750 0.318 0.254
O 0.538 0.680 0.900
Si 0.067 0.757 0.384
O 0.972 0.094 0.100
Si 0.563 0.613 0.230
O 0.250 0.027 0.749
O 0.994 0.726 0.105
O 0.039 0.895 0.282
Rb 0.250 0.000 0.471
O 0.473 0.488 0.248
F 0.750 0.730 0.679
Si 0.932 0.775 0.964
O 0.461 0.895 0.282
O 0.527 0.512 0.752
Rb 0.250 0.918 0.079
O 0.468 0.902 0.675
Rb 0.750 0.464 0.969
O 0.006 0.274 0.895
Lu 0.496 0.707 0.709
O 0.250 0.183 0.037
Si 0.432 0.225 0.036
Si 0.431 0.981 0.756
O 0.973 0.512 0.752
Lu 0.004 0.707 0.709
O 0.528 0.094 0.100
Si 0.069 0.981 0.756
Si 0.068 0.225 0.036
Rb 0.750 0.553 0.550
O 0.462 0.320 0.100
Si 0.568 0.775 0.964
Si 0.933 0.243 0.616
O 0.522 0.254 0.483
O 0.532 0.098 0.325
Rb 0.750 0.082 0.921
Si 0.063 0.387 0.770
Si 0.569 0.019 0.244
Si 0.567 0.243 0.616
O 0.750 0.817 0.963
O 0.250 0.726 0.367
Rb 0.250 0.536 0.031
Si 0.437 0.387 0.770
O 0.968 0.098 0.325
O 0.531 0.658 0.343
Rb 0.250 0.447 0.450
! Corrected total energy (MP2020 scheme)   -558.1 eV/cell
! Formation energy   -3330 meV/atom
! Total DFT energy (no corrections)   -7.3435 eV/atom

---

4.
! PBE-GGA Rb3LuF6, optimized geometry; values from VASP
&SYSTEM
  ibrav = 0, nat = 10, ntyp = 3
/
ATOMIC_SPECIES
F 19.00 F.upf
Lu 174.97 Lu.upf
Rb 85.47 Rb.upf
CELL_PARAMETERS angstrom
3.491 4.656 -3.490
6.290 -1.377 -2.142
1.207 -0.919 -6.614
ATOMIC_POSITIONS crystal
F 0.779 0.221 0.221
Lu 0.000 0.000 0.000
F 0.779 0.221 0.779
F 0.221 0.779 0.221
F 0.221 0.779 0.779
Rb 0.250 0.250 0.250
Rb 0.750 0.750 0.750
F 0.779 0.779 0.221
F 0.221 0.221 0.779
Rb 0.500 0.500 0.500
! Corrected total energy (MP2020 scheme)   -54.7 eV/cell
! Formation energy   -3576 meV/atom
! Total DFT energy (no corrections)   -5.1935 eV/atom

---

5.
! PBE-GGA LuSeF, optimized geometry; values from VASP
&SYSTEM
  ibrav = 0, nat = 12, ntyp = 3
/
ATOMIC_SPECIES
F 19.00 F.upf
Lu 174.97 Lu.upf
Se 78.96 Se.upf
CELL_PARAMETERS angstrom
2.057 2.817 2.004
-3.289 -1.637 1.639
9.886 -12.472 7.386
ATOMIC_POSITIONS crystal
F 0.667 0.333 0.250
Lu 0.333 0.667 0.250
Se 0.667 0.333 0.911
Lu 0.000 0.000 0.500
F 0.333 0.667 0.750
Lu 0.667 0.333 0.750
Se 0.333 0.667 0.089
Se 0.333 0.667 0.411
Lu 0.000 0.000 0.000
F 0.000 0.000 0.750
Se 0.667 0.333 0.589
F 0.000 0.000 0.250
! Corrected total energy (MP2020 scheme)   -75.3 eV/cell
! Formation energy   -2964 meV/atom
! Total DFT energy (no corrections)   -6.1202 eV/atom

---

6.
! PBE-GGA LuSnF7, optimized geometry; values from VASP
&SYSTEM
  ibrav = 0, nat = 36, ntyp = 3
/
ATOMIC_SPECIES
F 19.00 F.upf
Sn 118.71 Sn.upf
Lu 174.97 Lu.upf
CELL_PARAMETERS angstrom
5.524 0.000 0.000
0.000 8.853 0.000
0.000 5.471 10.610
ATOMIC_POSITIONS crystal
F 0.035 0.732 0.640
F 0.438 0.722 0.451
F 0.965 0.268 0.360
F 0.938 0.278 0.049
F 0.459 0.255 0.324
Sn 0.743 0.727 0.542
F 0.763 0.980 0.943
F 0.085 0.030 0.267
Lu 0.740 0.183 0.737
F 0.729 0.475 0.641
Lu 0.240 0.817 0.763
F 0.541 0.745 0.676
F 0.062 0.722 0.951
F 0.051 0.289 0.589
F 0.271 0.525 0.359
Sn 0.243 0.273 0.958
F 0.465 0.732 0.140
F 0.535 0.268 0.860
F 0.041 0.255 0.824
F 0.585 0.970 0.233
Lu 0.760 0.183 0.237
Lu 0.260 0.817 0.263
F 0.915 0.970 0.733
F 0.449 0.289 0.089
F 0.959 0.745 0.176
Sn 0.757 0.727 0.042
F 0.229 0.525 0.859
F 0.771 0.475 0.141
F 0.237 0.020 0.057
F 0.551 0.711 0.911
Sn 0.257 0.273 0.458
F 0.949 0.711 0.411
F 0.562 0.278 0.549
F 0.415 0.030 0.767
F 0.737 0.980 0.443
F 0.263 0.020 0.557
! Corrected total energy (MP2020 scheme)   -216.1 eV/cell
! Formation energy   -3566 meV/atom
! Total DFT energy (no corrections)   -5.6437 eV/atom

---

7.
! PBE-GGA Sr4Lu3F17, optimized geometry; values from VASP
&SYSTEM
  ibrav = 0, nat = 48, ntyp = 3
/
ATOMIC_SPECIES
F 19.00 F.upf
Lu 174.97 Lu.upf
Sr 87.62 Sr.upf
CELL_PARAMETERS angstrom
8.968 0.000 0.000
2.623 8.593 0.000
2.626 1.985 8.395
ATOMIC_POSITIONS crystal
F 0.643 0.514 0.956
Lu 0.471 0.606 0.176
F 0.982 0.547 0.826
F 0.742 0.213 0.919
F 0.347 0.261 0.543
Lu 0.816 0.530 0.391
Sr 0.945 0.110 0.689
F 0.914 0.737 0.221
F 0.953 0.645 0.516
F 0.485 0.047 0.357
F 0.822 0.982 0.549
Lu 0.533 0.389 0.840
Sr 0.048 0.890 0.312
F 0.600 0.205 0.699
F 0.409 0.799 0.301
F 0.650 0.748 0.454
Sr 0.892 0.309 0.053
Sr 0.105 0.691 0.956
F 0.213 0.916 0.742
F 0.715 0.604 0.176
F 0.039 0.358 0.489
F 0.305 0.404 0.789
F 0.457 0.651 0.737
F 0.261 0.781 0.089
F 0.082 0.258 0.787
Lu 0.610 0.180 0.463
F 0.139 0.136 0.138
Sr 0.733 0.738 0.736
F 0.862 0.864 0.863
F 0.209 0.697 0.590
F 0.002 0.995 0.004
F 0.019 0.453 0.174
F 0.258 0.543 0.350
F 0.510 0.962 0.644
F 0.743 0.452 0.655
F 0.354 0.489 0.042
Sr 0.309 0.048 0.894
F 0.556 0.483 0.446
F 0.822 0.283 0.394
F 0.783 0.081 0.261
Sr 0.690 0.947 0.112
Lu 0.158 0.467 0.611
F 0.545 0.827 0.982
Sr 0.261 0.267 0.265
F 0.452 0.175 0.019
Lu 0.388 0.841 0.534
F 0.173 0.019 0.454
F 0.548 0.340 0.241
! Corrected total energy (MP2020 scheme)   -315.5 eV/cell
! Formation energy   -4370 meV/atom
! Total DFT energy (no corrections)   -6.2458 eV/atom

---

8.
! PBE-GGA LuZrF7, optimized geometry; values from VASP
&SYSTEM
  ibrav = 0, nat = 18, ntyp = 3
/
ATOMIC_SPECIES
F 19.00 F.upf
Zr 91.22 Zr.upf
Lu 174.97 Lu.upf
CELL_PARAMETERS angstrom
5.252 1.110 -1.754
1.766 -5.462 1.831
-2.294 -1.401 -7.756
ATOMIC_POSITIONS crystal
F 0.991 0.461 0.787
F 0.210 0.139 0.522
F 0.491 0.539 0.213
F 0.202 0.246 0.029
F 0.430 0.917 0.765
F 0.009 0.617 0.220
Zr 0.208 0.188 0.776
Lu 0.697 0.653 0.682
F 0.930 0.083 0.235
F 0.702 0.754 0.971
F 0.940 0.954 0.760
Zr 0.708 0.812 0.224
F 0.890 0.455 0.479
F 0.710 0.861 0.478
F 0.509 0.383 0.780
F 0.440 0.046 0.240
Lu 0.197 0.347 0.318
F 0.390 0.545 0.521
! Corrected total energy (MP2020 scheme)   -129.1 eV/cell
! Formation energy   -4232 meV/atom
! Total DFT energy (no corrections)   -6.8135 eV/atom